Entry 1:
{
  "formula": "TbNiSn",
  "functional": "PBE",
  "state": "optimized geometry",
  "cell": [[7.1815, 0.0000, 0.0000], [0.0000, 4.4739, 0.0000], [0.0000, 0.0000, 7.6891]],
  "species": ["Tb", "Tb", "Tb", "Tb", "Ni", "Ni", "Ni", "Ni", "Sn", "Sn", "Sn", "Sn"],
  "frac_coords": [[0.0122, 0.2500, 0.2027], [0.4878, 0.7500, 0.7027], [0.5122, 0.2500, 0.2973], [0.9878, 0.7500, 0.7973], [0.1989, 0.7500, 0.4149], [0.3011, 0.2500, 0.9149], [0.6989, 0.7500, 0.0851], [0.8011, 0.2500, 0.5851], [0.1908, 0.2500, 0.5868], [0.3092, 0.7500, 0.0868], [0.6908, 0.2500, 0.9132], [0.8092, 0.7500, 0.4132]],
  "total_energy_ev_per_atom": -5.478
}

Entry 2:
{
  "formula": "Ni6SnTe2",
  "functional": "PBE",
  "state": "optimized geometry",
  "cell": [[-1.8975, 1.8975, 9.6813], [1.8975, -1.8975, 9.6813], [1.8975, 1.8975, -9.6813]],
  "species": ["Ni", "Ni", "Ni", "Ni", "Ni", "Ni", "Sn", "Te", "Te"],
  "frac_coords": [[0.0000, 0.0000, 0.0000], [0.0943, 0.5943, 0.5000], [0.3078, 0.3078, 0.0000], [0.4055, 0.9055, 0.5000], [0.5943, 0.0943, 0.5000], [0.9055, 0.4055, 0.5000], [0.4993, 0.4993, 0.0000], [0.1781, 0.1781, 0.0000], [0.8152, 0.8152, 0.0000]],
  "total_energy_ev_per_atom": -5.177,
  "corrected_energy_ev_per_cell": -47.44,
  "magnetic_moment_mub_per_cell": 0.02
}

Entry 3:
{
  "formula": "Th3Ni3Sn4",
  "functional": "PBE",
  "state": "optimized geometry",
  "cell": [[-4.8297, 4.8297, 4.8297], [4.8297, -4.8297, 4.8297], [4.8297, 4.8297, -4.8297]],
  "species": ["Th", "Th", "Th", "Th", "Th", "Th", "Ni", "Ni", "Ni", "Ni", "Ni", "Ni", "Sn", "Sn", "Sn", "Sn", "Sn", "Sn", "Sn", "Sn"],
  "frac_coords": [[0.1250, 0.8750, 0.2500], [0.2500, 0.1250, 0.8750], [0.3750, 0.6250, 0.7500], [0.6250, 0.7500, 0.3750], [0.7500, 0.3750, 0.6250], [0.8750, 0.2500, 0.1250], [0.1250, 0.7500, 0.8750], [0.2500, 0.6250, 0.3750], [0.3750, 0.2500, 0.6250], [0.6250, 0.3750, 0.2500], [0.7500, 0.8750, 0.1250], [0.8750, 0.1250, 0.7500], [0.0000, 0.1579, 0.5000], [0.0000, 0.6579, 0.5000], [0.1579, 0.5000, 0.0000], [0.3421, 0.3421, 0.3421], [0.5000, 0.0000, 0.1579], [0.5000, 0.0000, 0.6579], [0.6579, 0.5000, 0.0000], [0.8421, 0.8421, 0.8421]],
  "total_energy_ev_per_atom": -6.194,
  "magnetic_moment_mub_per_cell": 0.04
}

Entry 4:
{
  "formula": "ThNi2Sn2",
  "functional": "PBE",
  "state": "optimized geometry",
  "cell": [[4.4494, 0.0000, 0.0000], [0.0000, 4.4494, 0.0000], [0.0000, 0.0000, 10.1014]],
  "species": ["Th", "Th", "Ni", "Ni", "Ni", "Ni", "Sn", "Sn", "Sn", "Sn"],
  "frac_coords": [[0.2500, 0.2500, 0.2340], [0.7500, 0.7500, 0.7660], [0.2500, 0.2500, 0.6276], [0.2500, 0.7500, 0.0000], [0.7500, 0.2500, 0.0000], [0.7500, 0.7500, 0.3724], [0.2500, 0.2500, 0.8745], [0.2500, 0.7500, 0.5000], [0.7500, 0.2500, 0.5000], [0.7500, 0.7500, 0.1255]],
  "total_energy_ev_per_atom": -5.922
}

Entry 5:
{
  "formula": "ThNiSn",
  "functional": "PBE",
  "state": "optimized geometry",
  "cell": [[6.5831, 0.0000, 0.0000], [0.0000, 6.5831, 0.0000], [0.0000, 0.0000, 6.5831]],
  "species": ["Th", "Th", "Th", "Th", "Ni", "Ni", "Ni", "Ni", "Sn", "Sn", "Sn", "Sn"],
  "frac_coords": [[0.0000, 0.0000, 0.0000], [0.0000, 0.5000, 0.5000], [0.5000, 0.0000, 0.5000], [0.5000, 0.5000, 0.0000], [0.2500, 0.2500, 0.7500], [0.2500, 0.7500, 0.2500], [0.7500, 0.2500, 0.2500], [0.7500, 0.7500, 0.7500], [0.0000, 0.0000, 0.5000], [0.0000, 0.5000, 0.0000], [0.5000, 0.0000, 0.0000], [0.5000, 0.5000, 0.5000]],
  "e_ij_max_c_m2": 0.7,
  "total_energy_ev_per_atom": -6.424
}

Entry 6:
{
  "formula": "TiNiSn",
  "functional": "PBE",
  "state": "optimized geometry",
  "cell": [[6.1550, 0.0000, 0.0000], [0.0000, 6.1550, 0.0000], [0.0000, 0.0000, 6.1550]],
  "species": ["Ti", "Ti", "Ti", "Ti", "Ni", "Ni", "Ni", "Ni", "Sn", "Sn", "Sn", "Sn"],
  "frac_coords": [[0.0000, 0.0000, 0.0000], [0.0000, 0.5000, 0.5000], [0.5000, 0.0000, 0.5000], [0.5000, 0.5000, 0.0000], [0.2500, 0.2500, 0.2500], [0.2500, 0.7500, 0.7500], [0.7500, 0.2500, 0.7500], [0.7500, 0.7500, 0.2500], [0.2500, 0.2500, 0.7500], [0.2500, 0.7500, 0.2500], [0.7500, 0.2500, 0.2500], [0.7500, 0.7500, 0.7500]],
  "total_energy_ev_per_atom": -5.724,
  "magnetic_moment_mub_per_cell": 0.00
}

Entry 7:
{
  "formula": "TiNiSn",
  "functional": "PBE",
  "state": "optimized geometry",
  "cell": [[6.1448, 0.0000, 0.0000], [0.0000, 6.1448, 0.0000], [0.0000, 0.0000, 6.1448]],
  "species": ["Ti", "Ti", "Ti", "Ti", "Ni", "Ni", "Ni", "Ni", "Sn", "Sn", "Sn", "Sn"],
  "frac_coords": [[0.0000, 0.0000, 0.0000], [0.0000, 0.5000, 0.5000], [0.5000, 0.0000, 0.5000], [0.5000, 0.5000, 0.0000], [0.0000, 0.0000, 0.5000], [0.0000, 0.5000, 0.0000], [0.5000, 0.0000, 0.0000], [0.5000, 0.5000, 0.5000], [0.2500, 0.2500, 0.2500], [0.2500, 0.7500, 0.7500], [0.7500, 0.2500, 0.7500], [0.7500, 0.7500, 0.2500]],
  "total_energy_ev_per_atom": -5.760,
  "magnetic_moment_mub_per_cell": 0.00
}

Entry 8:
{
  "formula": "TiNiSn",
  "functional": "PBE",
  "state": "optimized geometry",
  "cell": [[5.9150, 0.0000, 0.0000], [0.0000, 5.9150, 0.0000], [0.0000, 0.0000, 5.9150]],
  "species": ["Ti", "Ti", "Ti", "Ti", "Ni", "Ni", "Ni", "Ni", "Sn", "Sn", "Sn", "Sn"],
  "frac_coords": [[0.0000, 0.0000, 0.0000], [0.0000, 0.5000, 0.5000], [0.5000, 0.0000, 0.5000], [0.5000, 0.5000, 0.0000], [0.2500, 0.2500, 0.7500], [0.2500, 0.7500, 0.2500], [0.7500, 0.2500, 0.2500], [0.7500, 0.7500, 0.7500], [0.0000, 0.0000, 0.5000], [0.0000, 0.5000, 0.0000], [0.5000, 0.0000, 0.0000], [0.5000, 0.5000, 0.5000]],
  "e_ij_max_c_m2": 0.5,
  "total_energy_ev_per_atom": -6.424
}